[1]
CsCdP3O9 after structural relaxation. Source: Materials Project, functional PBE.

The structure in CIF format:
```
data_CsCdP3O9
_cell_length_a 9.734
_cell_length_b 7.640
_cell_length_c 12.867
_cell_angle_alpha 90.00
_cell_angle_beta 90.00
_cell_angle_gamma 90.00
_space_group_name_H-M_alt 'P 1'
_space_group_IT_number 1
_space_group_name_Hall 'P 1'
loop_
_atom_site_label
_atom_site_fract_x
_atom_site_fract_y
_atom_site_fract_z
Cs1 0.114 0.250 0.083
Cs2 0.386 0.750 0.583
Cs3 0.614 0.250 0.417
Cs4 0.886 0.750 0.917
Cd1 0.014 0.750 0.223
Cd2 0.486 0.250 0.723
Cd3 0.514 0.750 0.277
Cd4 0.986 0.250 0.777
P1 0.204 0.250 0.541
P2 0.247 0.053 0.350
P3 0.247 0.447 0.350
P4 0.253 0.553 0.850
P5 0.253 0.947 0.850
P6 0.296 0.750 0.041
P7 0.704 0.250 0.959
P8 0.747 0.053 0.150
P9 0.747 0.447 0.150
P10 0.753 0.553 0.650
P11 0.753 0.947 0.650
P12 0.796 0.750 0.459
O1 0.094 0.250 0.621
O2 0.122 0.049 0.867
O3 0.122 0.451 0.867
O4 0.141 0.511 0.275
O5 0.141 0.989 0.275
O6 0.146 0.750 0.070
O7 0.175 0.086 0.462
O8 0.175 0.414 0.462
O9 0.206 0.750 0.816
O10 0.294 0.250 0.316
O11 0.325 0.586 0.962
O12 0.325 0.914 0.962
O13 0.354 0.250 0.570
O14 0.359 0.011 0.775
O15 0.359 0.489 0.775
O16 0.378 0.549 0.367
O17 0.378 0.951 0.367
O18 0.406 0.750 0.121
O19 0.594 0.250 0.879
O20 0.622 0.049 0.633
O21 0.622 0.451 0.633
O22 0.641 0.511 0.225
O23 0.641 0.989 0.225
O24 0.646 0.750 0.430
O25 0.675 0.086 0.038
O26 0.675 0.414 0.038
O27 0.706 0.750 0.684
O28 0.794 0.250 0.184
O29 0.825 0.586 0.538
O30 0.825 0.914 0.538
O31 0.854 0.250 0.930
O32 0.859 0.011 0.725
O33 0.859 0.489 0.725
O34 0.878 0.549 0.133
O35 0.878 0.951 0.133
O36 0.906 0.750 0.379
```

## Properties
Total magnetic moment in μB/cell: 0.00
Energy with MP2020 corrections in eV/atom: -7.017

[2]
MnZnIn4S8 after structural relaxation. Source: Materials Project, functional PBE.

The structure in CIF format:
```
data_MnZnIn4S8
_cell_length_a 12.780
_cell_length_b 12.780
_cell_length_c 6.777
_cell_angle_alpha 95.00
_cell_angle_beta 95.00
_cell_angle_gamma 17.58
_space_group_name_H-M_alt 'P 1'
_space_group_IT_number 1
_space_group_name_Hall 'P 1'
loop_
_atom_site_label
_atom_site_fract_x
_atom_site_fract_y
_atom_site_fract_z
Mn1 0.000 0.000 0.000
Zn1 0.852 0.852 0.616
In1 0.152 0.152 0.389
In2 0.352 0.352 0.128
In3 0.498 0.498 0.509
In4 0.651 0.651 0.888
S1 0.055 0.055 0.349
S2 0.195 0.195 0.070
S3 0.318 0.318 0.458
S4 0.452 0.452 0.146
S5 0.554 0.554 0.865
S6 0.696 0.696 0.570
S7 0.816 0.816 0.930
S8 0.947 0.947 0.661
```

## Properties
Total magnetic moment in μB/cell: 5.00
Energy with MP2020 corrections in eV/atom: -4.744

[3]
CrNi2Hg after structural relaxation. Source: Materials Project, functional PBE.

The structure in CIF format:
```
data_CrNi2Hg
_cell_length_a 6.121
_cell_length_b 6.121
_cell_length_c 6.121
_cell_angle_alpha 90.00
_cell_angle_beta 90.00
_cell_angle_gamma 90.00
_space_group_name_H-M_alt 'P 1'
_space_group_IT_number 1
_space_group_name_Hall 'P 1'
loop_
_atom_site_label
_atom_site_fract_x
_atom_site_fract_y
_atom_site_fract_z
Cr1 0.000 0.000 0.000
Cr2 0.000 0.500 0.500
Cr3 0.500 0.000 0.500
Cr4 0.500 0.500 0.000
Ni1 0.000 0.000 0.500
Ni2 0.000 0.500 0.000
Ni3 0.250 0.250 0.750
Ni4 0.250 0.750 0.250
Ni5 0.500 0.000 0.000
Ni6 0.500 0.500 0.500
Ni7 0.750 0.250 0.250
Ni8 0.750 0.750 0.750
Hg1 0.250 0.250 0.250
Hg2 0.250 0.750 0.750
Hg3 0.750 0.250 0.750
Hg4 0.750 0.750 0.250
```

## Properties
Total magnetic moment in μB/cell: 15.99

[4]
LaMg6V after structural relaxation. Source: Materials Project, functional PBE.

The structure in CIF format:
```
data_LaMg6V
_cell_length_a 5.125
_cell_length_b 6.657
_cell_length_c 11.446
_cell_angle_alpha 90.00
_cell_angle_beta 90.00
_cell_angle_gamma 90.00
_space_group_name_H-M_alt 'P 1'
_space_group_IT_number 1
_space_group_name_Hall 'P 1'
loop_
_atom_site_label
_atom_site_fract_x
_atom_site_fract_y
_atom_site_fract_z
La1 0.500 0.000 0.675
La2 0.500 0.500 0.175
Mg1 0.000 0.760 0.079
Mg2 0.000 0.000 0.334
Mg3 0.500 0.259 0.419
Mg4 0.500 0.000 0.162
Mg5 0.500 0.241 0.919
Mg6 0.000 0.260 0.579
Mg7 0.500 0.741 0.419
Mg8 0.000 0.500 0.834
Mg9 0.000 0.240 0.079
Mg10 0.500 0.759 0.919
Mg11 0.500 0.500 0.662
Mg12 0.000 0.740 0.579
V1 0.000 0.000 0.834
V2 0.000 0.500 0.334
```

## Properties
Total magnetic moment in μB/cell: 6.92

[5]
Ta2MnRe2Se8 after structural relaxation. Source: Materials Project, functional PBE.

The structure in CIF format:
```
data_Ta2MnRe2Se8
_cell_length_a 3.465
_cell_length_b 3.465
_cell_length_c 26.611
_cell_angle_alpha 90.00
_cell_angle_beta 90.00
_cell_angle_gamma 120.00
_space_group_name_H-M_alt 'P 1'
_space_group_IT_number 1
_space_group_name_Hall 'P 1'
loop_
_atom_site_label
_atom_site_fract_x
_atom_site_fract_y
_atom_site_fract_z
Ta1 0.000 0.000 0.000
Ta2 0.000 0.000 0.498
Mn1 0.000 0.000 0.871
Re1 0.000 0.000 0.248
Re2 0.000 0.000 0.746
Se1 0.333 0.667 0.190
Se2 0.333 0.667 0.307
Se3 0.333 0.667 0.689
Se4 0.333 0.667 0.811
Se5 0.667 0.333 0.063
Se6 0.667 0.333 0.435
Se7 0.667 0.333 0.562
Se8 0.667 0.333 0.935
```

## Properties
Total magnetic moment in μB/cell: 3.28
Energy with MP2020 corrections in eV/atom: -7.245

[6]
AlCuCl4 after structural relaxation. Source: Materials Project, functional PBE.

The structure in CIF format:
```
data_AlCuCl4
_cell_length_a 5.556
_cell_length_b 5.556
_cell_length_c 10.084
_cell_angle_alpha 90.00
_cell_angle_beta 90.00
_cell_angle_gamma 90.00
_space_group_name_H-M_alt 'P 1'
_space_group_IT_number 1
_space_group_name_Hall 'P 1'
loop_
_atom_site_label
_atom_site_fract_x
_atom_site_fract_y
_atom_site_fract_z
Al1 0.000 0.500 0.250
Al2 0.500 0.000 0.750
Cu1 0.000 0.000 0.000
Cu2 0.000 0.000 0.500
Cl1 0.226 0.273 0.373
Cl2 0.226 0.727 0.127
Cl3 0.273 0.226 0.873
Cl4 0.273 0.774 0.627
Cl5 0.727 0.226 0.627
Cl6 0.727 0.774 0.873
Cl7 0.774 0.273 0.127
Cl8 0.774 0.727 0.373
```

## Properties
Largest piezoelectric modulus in C/m2: 0.06
Energy with MP2020 corrections in eV/atom: -4.117

[7]
ReS2 after structural relaxation. Source: Materials Project, functional PBE.

The structure in CIF format:
```
data_ReS2
_cell_length_a 6.419
_cell_length_b 6.523
_cell_length_c 7.045
_cell_angle_alpha 91.78
_cell_angle_beta 103.97
_cell_angle_gamma 118.84
_space_group_name_H-M_alt 'P 1'
_space_group_IT_number 1
_space_group_name_Hall 'P 1'
loop_
_atom_site_label
_atom_site_fract_x
_atom_site_fract_y
_atom_site_fract_z
Re1 0.013 0.214 0.002
Re2 0.442 0.189 0.008
Re3 0.558 0.811 0.992
Re4 0.987 0.786 0.998
S1 0.231 0.848 0.767
S2 0.241 0.113 0.260
S3 0.248 0.633 0.176
S4 0.280 0.392 0.799
S5 0.720 0.608 0.201
S6 0.752 0.367 0.824
S7 0.759 0.887 0.740
S8 0.769 0.152 0.233
```

## Properties
Energy with MP2020 corrections in eV/atom: -7.810

[8]
As2Pb14Cl4O17 after structural relaxation. Source: Materials Project, functional PBE.

The structure in CIF format:
```
data_As2Pb14Cl4O17
_cell_length_a 13.190
_cell_length_b 13.190
_cell_length_c 11.504
_cell_angle_alpha 103.45
_cell_angle_beta 103.45
_cell_angle_gamma 121.34
_space_group_name_H-M_alt 'P 1'
_space_group_IT_number 1
_space_group_name_Hall 'P 1'
loop_
_atom_site_label
_atom_site_fract_x
_atom_site_fract_y
_atom_site_fract_z
As1 0.041 0.685 0.823
As2 0.315 0.959 0.677
As3 0.685 0.041 0.323
As4 0.959 0.315 0.177
Pb1 0.045 0.218 0.924
Pb2 0.048 0.659 0.299
Pb3 0.049 0.205 0.451
Pb4 0.177 0.574 0.575
Pb5 0.204 0.597 0.061
Pb6 0.205 0.049 0.951
Pb7 0.218 0.045 0.424
Pb8 0.295 0.460 0.307
Pb9 0.302 0.471 0.819
Pb10 0.341 0.952 0.201
Pb11 0.403 0.796 0.439
Pb12 0.426 0.823 0.925
Pb13 0.460 0.295 0.807
Pb14 0.471 0.302 0.319
Pb15 0.529 0.698 0.681
Pb16 0.540 0.705 0.193
Pb17 0.574 0.177 0.075
Pb18 0.597 0.204 0.561
Pb19 0.659 0.048 0.799
Pb20 0.698 0.529 0.181
Pb21 0.705 0.540 0.693
Pb22 0.782 0.955 0.576
Pb23 0.795 0.951 0.049
Pb24 0.796 0.403 0.939
Pb25 0.823 0.426 0.425
Pb26 0.951 0.795 0.549
Pb27 0.952 0.341 0.701
Pb28 0.955 0.782 0.076
Cl1 0.105 0.134 0.691
Cl2 0.134 0.105 0.191
Cl3 0.374 0.374 0.062
Cl4 0.374 0.374 0.562
Cl5 0.626 0.626 0.438
Cl6 0.626 0.626 0.938
Cl7 0.866 0.895 0.809
Cl8 0.895 0.866 0.309
O1 0.027 0.323 0.330
O2 0.093 0.411 0.145
O3 0.108 0.383 0.620
O4 0.121 0.407 0.889
O5 0.131 0.626 0.819
O6 0.134 0.840 0.954
O7 0.144 0.856 0.250
O8 0.160 0.866 0.546
O9 0.323 0.027 0.830
O10 0.331 0.616 0.486
O11 0.356 0.644 0.750
O12 0.367 0.633 0.250
O13 0.374 0.869 0.681
O14 0.383 0.108 0.120
O15 0.384 0.669 0.014
O16 0.407 0.121 0.389
O17 0.411 0.093 0.645
O18 0.589 0.907 0.355
O19 0.593 0.879 0.611
O20 0.616 0.331 0.986
O21 0.617 0.892 0.880
O22 0.626 0.131 0.319
O23 0.633 0.367 0.750
O24 0.644 0.356 0.250
O25 0.669 0.384 0.514
O26 0.677 0.973 0.170
O27 0.840 0.134 0.454
O28 0.856 0.144 0.750
O29 0.866 0.160 0.046
O30 0.869 0.374 0.181
O31 0.879 0.593 0.111
O32 0.892 0.617 0.380
O33 0.907 0.589 0.855
O34 0.973 0.677 0.670
```

## Properties
Total magnetic moment in μB/cell: 0.00
Energy with MP2020 corrections in eV/atom: -5.684

[9]
U3Ag2Ge2O16 after structural relaxation. Source: Materials Project, functional PBE.

The structure in CIF format:
```
data_U3Ag2Ge2O16
_cell_length_a 9.998
_cell_length_b 7.463
_cell_length_c 18.359
_cell_angle_alpha 90.00
_cell_angle_beta 90.00
_cell_angle_gamma 90.00
_space_group_name_H-M_alt 'P 1'
_space_group_IT_number 1
_space_group_name_Hall 'P 1'
loop_
_atom_site_label
_atom_site_fract_x
_atom_site_fract_y
_atom_site_fract_z
U1 0.020 0.250 0.013
U2 0.091 0.250 0.729
U3 0.124 0.750 0.710
U4 0.376 0.250 0.210
U5 0.409 0.750 0.229
U6 0.480 0.750 0.513
U7 0.520 0.250 0.487
U8 0.591 0.250 0.771
U9 0.624 0.750 0.790
U10 0.876 0.250 0.290
U11 0.909 0.750 0.271
U12 0.980 0.750 0.987
Ag1 0.196 0.502 0.385
Ag2 0.196 0.998 0.385
Ag3 0.304 0.002 0.885
Ag4 0.304 0.498 0.885
Ag5 0.696 0.502 0.115
Ag6 0.696 0.998 0.115
Ag7 0.804 0.002 0.615
Ag8 0.804 0.498 0.615
Ge1 0.111 0.506 0.158
Ge2 0.111 0.994 0.158
Ge3 0.389 0.006 0.658
Ge4 0.389 0.494 0.658
Ge5 0.611 0.506 0.342
Ge6 0.611 0.994 0.342
Ge7 0.889 0.006 0.842
Ge8 0.889 0.494 0.842
O1 0.002 0.750 0.634
O2 0.007 0.534 0.769
O3 0.007 0.966 0.769
O4 0.024 0.750 0.350
O5 0.052 0.044 0.497
O6 0.052 0.456 0.497
O7 0.059 0.532 0.065
O8 0.059 0.968 0.065
O9 0.083 0.750 0.183
O10 0.137 0.250 0.135
O11 0.147 0.750 0.941
O12 0.186 0.250 0.967
O13 0.208 0.250 0.808
O14 0.211 0.022 0.674
O15 0.211 0.478 0.674
O16 0.244 0.750 0.787
O17 0.256 0.250 0.287
O18 0.289 0.522 0.174
O19 0.289 0.978 0.174
O20 0.292 0.750 0.308
O21 0.314 0.750 0.467
O22 0.353 0.250 0.441
O23 0.363 0.750 0.635
O24 0.417 0.250 0.683
O25 0.441 0.032 0.565
O26 0.441 0.468 0.565
O27 0.448 0.544 0.997
O28 0.448 0.956 0.997
O29 0.476 0.250 0.850
O30 0.493 0.034 0.269
O31 0.493 0.466 0.269
O32 0.498 0.250 0.134
O33 0.502 0.750 0.866
O34 0.507 0.534 0.731
O35 0.507 0.966 0.731
O36 0.524 0.750 0.150
O37 0.552 0.044 0.003
O38 0.552 0.456 0.003
O39 0.559 0.532 0.435
O40 0.559 0.968 0.435
O41 0.583 0.750 0.317
O42 0.637 0.250 0.365
O43 0.647 0.750 0.559
O44 0.686 0.250 0.533
O45 0.708 0.250 0.692
O46 0.711 0.022 0.826
O47 0.711 0.478 0.826
O48 0.744 0.750 0.713
O49 0.756 0.250 0.213
O50 0.789 0.522 0.326
O51 0.789 0.978 0.326
O52 0.792 0.750 0.192
O53 0.814 0.750 0.033
O54 0.853 0.250 0.059
O55 0.863 0.750 0.865
O56 0.917 0.250 0.817
O57 0.941 0.032 0.935
O58 0.941 0.468 0.935
O59 0.948 0.544 0.503
O60 0.948 0.956 0.503
O61 0.976 0.250 0.650
O62 0.993 0.034 0.231
O63 0.993 0.466 0.231
O64 0.998 0.250 0.366
```

## Properties
Total magnetic moment in μB/cell: 8.00
Energy with MP2020 corrections in eV/atom: -7.692

[10]
Ge3Bi5N9 after structural relaxation. Source: Materials Project, functional PBE.

The structure in CIF format:
```
data_Ge3Bi5N9
_cell_length_a 8.334
_cell_length_b 8.334
_cell_length_c 16.241
_cell_angle_alpha 90.00
_cell_angle_beta 90.00
_cell_angle_gamma 93.69
_space_group_name_H-M_alt 'P 1'
_space_group_IT_number 1
_space_group_name_Hall 'P 1'
loop_
_atom_site_label
_atom_site_fract_x
_atom_site_fract_y
_atom_site_fract_z
Ge1 0.201 0.799 0.766
Ge2 0.225 0.275 0.250
Ge3 0.233 0.767 0.970
Ge4 0.267 0.733 0.470
Ge5 0.275 0.225 0.750
Ge6 0.299 0.701 0.266
Ge7 0.701 0.299 0.734
Ge8 0.725 0.775 0.250
Ge9 0.733 0.267 0.530
Ge10 0.767 0.233 0.030
Ge11 0.775 0.725 0.750
Ge12 0.799 0.201 0.234
Bi1 0.016 0.984 0.630
Bi2 0.031 0.969 0.117
Bi3 0.037 0.579 0.125
Bi4 0.079 0.537 0.625
Bi5 0.244 0.244 0.500
Bi6 0.256 0.256 0.000
Bi7 0.421 0.963 0.125
Bi8 0.463 0.921 0.625
Bi9 0.469 0.531 0.617
Bi10 0.484 0.516 0.130
Bi11 0.516 0.484 0.870
Bi12 0.531 0.469 0.383
Bi13 0.537 0.079 0.375
Bi14 0.579 0.037 0.875
Bi15 0.744 0.744 0.000
Bi16 0.756 0.756 0.500
Bi17 0.921 0.463 0.375
Bi18 0.963 0.421 0.875
Bi19 0.969 0.031 0.883
Bi20 0.984 0.016 0.370
N1 0.009 0.233 0.278
N2 0.017 0.739 0.011
N3 0.134 0.866 0.526
N4 0.171 0.264 0.849
N5 0.196 0.804 0.177
N6 0.228 0.772 0.362
N7 0.233 0.009 0.722
N8 0.236 0.329 0.651
N9 0.239 0.517 0.511
N10 0.261 0.983 0.011
N11 0.264 0.171 0.151
N12 0.267 0.491 0.222
N13 0.272 0.728 0.862
N14 0.304 0.696 0.677
N15 0.329 0.236 0.349
N16 0.366 0.634 0.026
N17 0.483 0.761 0.511
N18 0.491 0.267 0.778
N19 0.509 0.733 0.222
N20 0.517 0.239 0.489
N21 0.634 0.366 0.974
N22 0.671 0.764 0.651
N23 0.696 0.304 0.323
N24 0.728 0.272 0.138
N25 0.733 0.509 0.778
N26 0.736 0.829 0.849
N27 0.739 0.017 0.989
N28 0.761 0.483 0.489
N29 0.764 0.671 0.349
N30 0.767 0.991 0.278
N31 0.772 0.228 0.638
N32 0.804 0.196 0.823
N33 0.829 0.736 0.151
N34 0.866 0.134 0.474
N35 0.983 0.261 0.989
N36 0.991 0.767 0.722
```

## Properties
Total magnetic moment in μB/cell: 0.00
Energy with MP2020 corrections in eV/atom: -6.051

Theoretical density list, top to bottom, in g/cm³: 3.3, 4.2, 10.7, 2.9, 8.5, 2.5, 6.7, 7.6, 6.5, 8.2
Total energy list, top to bottom, in eV/atom: -6.576, -4.456, -4.992, -2.761, -6.955, -3.707, -7.474, -5.368, -7.580, -5.860
ΔE_f list, top to bottom, in meV per atom: -2547, -849, 387, 191, -650, -1577, -904, -1554, -2129, 322